Run w
A plane-wave DFT calculation with GGA-PBE was carried out for a relaxed La4MgTi4O10 crystal.

POSCAR file:
```
La4MgTi4O10
1.0
-0.0019 0.0026 5.5320
5.7207 -0.0612 -0.0019
-2.9536 8.3902 -2.7607
La Mg Ti O
4 1 4 10
direct
0.6071 0.1353 0.2350
0.3759 0.8658 0.7665
0.1593 0.6699 0.3404
0.8221 0.3319 0.6642
0.9925 0.5007 0.0029
0.9917 0.0009 0.0016
0.4906 0.5004 0.9998
0.2389 0.2786 0.4968
0.7417 0.7236 0.5025
0.2269 0.2346 0.9713
0.2540 0.7631 0.0248
0.7263 0.2355 0.9720
0.7535 0.7638 0.0260
0.1204 0.1849 0.2552
0.8610 0.8096 0.7433
0.6168 0.5687 0.2547
0.3623 0.4295 0.7433
0.9852 0.0031 0.4980
0.4899 0.0002 0.5018
```

Properties
SG: P1 (1)
Theoretical density, g/cm3: 5.85
Volume, Å³ per atom: 13.92



Run x
A plane-wave DFT calculation with GGA-PBE was carried out for a relaxed La4MgTi4O10 crystal.

POSCAR file:
```
La4MgTi4O10
1.0
0.2524 -4.9947 2.4906
-5.4877 0.5686 1.6698
0.1133 -1.4095 -9.0903
La Mg Ti O
4 1 4 10
direct
0.6296 0.1227 0.2792
0.4097 0.8694 0.8320
0.0773 0.5374 0.1681
0.8514 0.3447 0.7209
0.2348 0.8353 0.5002
0.9907 0.9841 0.9983
0.4921 0.4859 0.0016
0.2440 0.3382 0.5001
0.7330 0.7258 0.5000
0.2209 0.2292 0.9693
0.2601 0.7587 0.0282
0.7323 0.2310 0.9712
0.7513 0.7610 0.0312
0.1198 0.1733 0.2508
0.8602 0.8149 0.7461
0.6143 0.5696 0.2540
0.3673 0.4222 0.7491
0.9714 0.0557 0.4996
0.5059 0.0504 0.5001
```

Properties
SG: Cm (8)
Theoretical density, g/cm3: 5.80
Volume, Å³ per atom: 14.03



Here is how they stack up, most stable first: run x, run w.



Run w
A plane-wave DFT calculation with GGA-PBE was carried out for a relaxed ZrCrCuS4 crystal.

POSCAR file:
```
ZrCrCuS4
1.0
-7.1413 -0.2910 9.3395
-5.2118 -2.4841 -4.0625
3.6570 -11.6521 2.4333
Zr Cr Cu S
8 8 8 32
direct
0.0944 0.9050 0.6844
0.9056 0.0950 0.1844
0.4056 0.9050 0.1844
0.5944 0.0950 0.6844
0.1134 0.3906 0.3370
0.8866 0.6094 0.8370
0.3866 0.3906 0.8370
0.6134 0.6094 0.3370
0.1618 0.6300 0.9506
0.8382 0.3700 0.4506
0.3382 0.6300 0.4506
0.6618 0.3700 0.9506
0.1554 0.1302 0.9609
0.8446 0.8698 0.4609
0.3446 0.1302 0.4609
0.6554 0.8698 0.9609
0.1082 0.3704 0.6846
0.8918 0.6296 0.1846
0.3918 0.3704 0.1846
0.6082 0.6296 0.6846
0.1273 0.8896 0.3077
0.8727 0.1104 0.8077
0.3727 0.8896 0.8077
0.6273 0.1104 0.3077
0.0313 0.8762 0.8887
0.9687 0.1238 0.3887
0.4687 0.8762 0.3887
0.5313 0.1238 0.8887
0.0273 0.3699 0.1492
0.9727 0.6301 0.6492
0.4727 0.3699 0.6492
0.5273 0.6301 0.1492
0.0355 0.3845 0.8944
0.9645 0.6155 0.3944
0.4645 0.3845 0.3944
0.5355 0.6155 0.8944
0.0373 0.8482 0.1438
0.9627 0.1518 0.6438
0.4627 0.8482 0.6438
0.5373 0.1518 0.1438
0.2149 0.8827 0.5105
0.7851 0.1173 0.0105
0.2851 0.8827 0.0105
0.7149 0.1173 0.5105
0.2216 0.3761 0.5195
0.7784 0.6239 0.0195
0.2784 0.3761 0.0195
0.7216 0.6239 0.5195
0.2376 0.1311 0.7866
0.7624 0.8689 0.2866
0.2624 0.1311 0.2866
0.7376 0.8689 0.7866
0.2420 0.6327 0.7790
0.7580 0.3673 0.2790
0.2580 0.6327 0.2790
0.7420 0.3673 0.7790
```

Properties
SG: Pca2_1 (29)
Theoretical density, g/cm3: 4.30
Volume, Å³ per atom: 18.46



Run x
A plane-wave DFT calculation with GGA-PBE was carried out for a relaxed ZrCrCuS4 crystal.

POSCAR file:
```
ZrCrCuS4
1.0
6.6789 0.0000 0.0000
0.0000 7.2595 0.0000
0.0000 0.0000 11.6294
Zr Cr Cu S
4 4 4 16
direct
0.7049 0.0000 0.3098
0.2951 0.5000 0.8098
0.8183 0.0000 0.0083
0.1817 0.5000 0.5083
0.8076 0.5000 0.7295
0.1924 0.0000 0.2295
0.6492 0.5000 0.9644
0.3508 0.0000 0.4644
0.9598 0.0000 0.6281
0.5803 0.5000 0.4093
0.0402 0.5000 0.1281
0.4197 0.0000 0.9093
0.9418 0.2106 0.1664
0.5945 0.2619 0.8365
0.0582 0.2894 0.6664
0.4055 0.2381 0.3365
0.4055 0.7619 0.3365
0.0582 0.7106 0.6664
0.5945 0.7381 0.8365
0.9418 0.7894 0.1664
0.6434 0.0000 0.5427
0.9084 0.5000 0.3823
0.3566 0.5000 0.0427
0.0916 0.0000 0.8823
0.9767 0.5000 0.9147
0.4736 0.0000 0.1051
0.0233 0.0000 0.4147
0.5264 0.5000 0.6051
```

Properties
SG: Pmn2_1 (31)
Theoretical density, g/cm3: 3.95
Volume, Å³ per atom: 20.14



Here is how they stack up, most stable first: run w, run x.